Computed, not measured: crystalline Pr at its relaxed geometry at the GGA-PBE level of DFT.

a = 3.711 Å, b = 3.711 Å, c = 18.376 Å
α = 90.00°, β = 90.00°, γ = 120.00°
Fractional coordinates of all 6 atoms:
Pr1 0.008 0.688 0.417
Pr2 0.312 0.320 0.750
Pr3 0.992 0.680 0.916
Pr4 0.688 0.008 0.583
Pr5 0.680 0.992 0.084
Pr6 0.320 0.312 0.250

Results
E_form, meV per atom: 8

Computed, not measured: crystalline Pr at its relaxed geometry at the GGA-PBE level of DFT.

a = 3.615 Å, b = 3.615 Å, c = 3.615 Å
α = 109.47°, β = 109.47°, γ = 109.47°
Fractional coordinates of all 1 atoms:
Pr1 0.000 0.000 0.000

Results
E_form, meV per atom: 136

Computed, not measured: crystalline Pr at its relaxed geometry at the GGA-PBE level of DFT.

a = 3.714 Å, b = 3.714 Å, c = 6.446 Å
α = 73.14°, β = 73.14°, γ = 59.97°
Fractional coordinates of all 2 atoms:
Pr1 0.239 0.239 0.250
Pr2 0.761 0.761 0.750

Results
E_form, meV per atom: 10

Computed, not measured: crystalline Pr at its relaxed geometry at the GGA-PBE level of DFT.

a = 3.766 Å, b = 3.766 Å, c = 5.948 Å
α = 90.00°, β = 90.00°, γ = 120.00°
Fractional coordinates of all 2 atoms:
Pr1 0.333 0.667 0.750
Pr2 0.667 0.333 0.250

Results
E_form, meV per atom: 29

Computed, not measured: crystalline Pr at its relaxed geometry at the GGA-PBE level of DFT.

a = 3.743 Å, b = 3.743 Å, c = 12.023 Å
α = 90.00°, β = 90.00°, γ = 120.00°
Fractional coordinates of all 4 atoms:
Pr1 0.333 0.667 0.750
Pr2 0.000 0.000 0.000
Pr3 0.667 0.333 0.250
Pr4 0.000 0.000 0.500

Results
E_form, meV per atom: 0

Computed, not measured: crystalline Pr at its relaxed geometry at the GGA-PBE level of DFT.

a = 3.725 Å, b = 3.725 Å, c = 3.725 Å
α = 60.00°, β = 60.00°, γ = 60.00°
Fractional coordinates of all 1 atoms:
Pr1 0.500 0.500 0.500

Results
E_form, meV per atom: 8